Density functional theory data (GGA+U) for a relaxed Li4FeOF5 crystal.

a b c (Å): 5.2105 8.8764 10.5944
angles (deg): 114.77 84.36 89.99
Sites, in units of the cell vectors:
Li: 0.9007 0.6881 0.7376
Li: 0.4008 0.1880 0.7376
Li: 0.6507 0.7996 0.2376
Li: 0.1507 0.2996 0.2377
Li: 0.6077 0.4513 0.2480
Li: 0.1076 0.9513 0.2481
Li: 0.8576 0.0468 0.7480
Li: 0.3576 0.5468 0.7480
Li: 0.7680 0.4239 0.5048
Li: 0.2682 0.9239 0.5048
Li: 0.5181 0.8308 0.0048
Li: 0.0181 0.3308 0.0048
Li: 0.8768 0.3830 0.7544
Li: 0.3769 0.8830 0.7544
Li: 0.6269 0.1215 0.2544
Li: 0.1270 0.6215 0.2544
Fe: 0.2323 0.2712 0.5093
Fe: 0.9826 0.9881 0.0093
Fe: 0.7326 0.7712 0.5094
Fe: 0.4825 0.4881 0.0093
O: 0.0601 0.4642 0.6294
O: 0.5602 0.9641 0.6294
O: 0.8101 0.9152 0.1294
O: 0.3100 0.4151 0.1294
F: 0.2139 0.4144 0.8721
F: 0.7140 0.9144 0.8722
F: 0.9639 0.2079 0.3722
F: 0.4640 0.7079 0.3721
F: 0.8448 0.2278 0.1258
F: 0.3448 0.7278 0.1258
F: 0.0948 0.1479 0.6257
F: 0.5948 0.6479 0.6257
F: 0.6409 0.5899 0.8748
F: 0.1410 0.0899 0.8748
F: 0.3910 0.0350 0.3748
F: 0.8911 0.5350 0.3748
F: 0.4459 0.3354 0.3669
F: 0.9460 0.8353 0.3669
F: 0.6958 0.2816 0.8668
F: 0.1959 0.7816 0.8668
F: 0.5429 0.3195 0.6174
F: 0.0430 0.8195 0.6175
F: 0.2930 0.0477 0.1174
F: 0.7929 0.5477 0.1174

Calculated values
corrected total energy (MP2020 scheme): -5.573 eV/atom
formation energy from the elements: -2.7890 eV/atom

---

Density functional theory data (GGA+U) for a relaxed Li3Fe8B8O24 crystal.

a b c (Å): 5.2583 5.2739 20.1648
angles (deg): 90.52 89.90 119.51
Sites, in units of the cell vectors:
Li: 0.3597 0.3324 0.6679
Li: 0.3322 0.3570 0.9205
Li: 0.3337 0.3591 0.4181
Fe: 0.3232 0.9834 0.8105
Fe: 0.3222 0.9821 0.3102
Fe: 0.9910 0.6848 0.9375
Fe: 0.9935 0.6848 0.4367
Fe: 0.9845 0.3247 0.5602
Fe: 0.9995 0.3279 0.0595
Fe: 0.6854 0.9923 0.6866
Fe: 0.6729 0.0007 0.1840
B: 0.6603 0.0041 0.9359
B: 0.6646 0.0048 0.4356
B: 0.9896 0.3270 0.8133
B: 0.9905 0.3283 0.3118
B: 0.0047 0.6630 0.6858
B: 0.9997 0.6592 0.1854
B: 0.3274 0.9896 0.5627
B: 0.3352 0.9975 0.0617
O: 0.7253 0.1111 0.7883
O: 0.7274 0.1174 0.2838
O: 0.9126 0.2579 0.9588
O: 0.4216 0.0326 0.9136
O: 0.9181 0.2564 0.4586
O: 0.4274 0.0360 0.4128
O: 0.0207 0.5954 0.8316
O: 0.2805 0.2215 0.5702
O: 0.0185 0.5929 0.3324
O: 0.3007 0.2356 0.0593
O: 0.2209 0.2792 0.8216
O: 0.2149 0.2734 0.3223
O: 0.7407 0.6490 0.6842
O: 0.7672 0.7024 0.1835
O: 0.6490 0.7425 0.9351
O: 0.0362 0.4251 0.6636
O: 0.6499 0.7415 0.4340
O: 0.9896 0.4021 0.1631
O: 0.5960 0.0214 0.5814
O: 0.5985 0.0191 0.0845
O: 0.1113 0.7250 0.5381
O: 0.1164 0.7275 0.0398
O: 0.2564 0.9179 0.7084
O: 0.2684 0.8786 0.2114

Calculated values
corrected total energy (MP2020 scheme): -7.969 eV/atom
symmetry: No. 1
formation energy from the elements: -2.2555 eV/atom

---

Density functional theory data (GGA+U) for a relaxed NaLiMn2Fe4P6O24 crystal.

a b c (Å): 6.4719 8.6845 8.7547
angles (deg): 92.72 106.70 106.28
Sites, in units of the cell vectors:
Na: 0.0014 0.4983 0.5009
Li: 0.7535 0.0108 0.9901
Mn: 0.2528 0.2699 0.7299
Mn: 0.7459 0.7231 0.2773
Fe: 0.3648 0.9345 0.6217
Fe: 0.8719 0.6300 0.9330
Fe: 0.1359 0.3761 0.0676
Fe: 0.6273 0.0656 0.3718
P: 0.3750 0.6566 0.8693
P: 0.8701 0.8661 0.6515
P: 0.2486 0.7129 0.2854
P: 0.7510 0.2866 0.7152
P: 0.1207 0.1326 0.3455
P: 0.6337 0.3471 0.1312
O: 0.1033 0.9950 0.6658
O: 0.1869 0.6098 0.9550
O: 0.4051 0.8299 0.8199
O: 0.6070 0.6691 0.9979
O: 0.6793 0.9504 0.5947
O: 0.8753 0.8225 0.8224
O: 0.3100 0.5254 0.7272
O: 0.2368 0.7418 0.4587
O: 0.0304 0.7370 0.1691
O: 0.4671 0.8301 0.2643
O: 0.8275 0.7211 0.5295
O: 0.7461 0.4618 0.7431
O: 0.2572 0.5378 0.2586
O: 0.1681 0.2746 0.4724
O: 0.5351 0.1673 0.7404
O: 0.9660 0.2574 0.8337
O: 0.7602 0.2568 0.5418
O: 0.6937 0.4731 0.2766
O: 0.0940 0.1782 0.1720
O: 0.3158 0.0515 0.3978
O: 0.3987 0.3361 0.0076
O: 0.6256 0.1759 0.1786
O: 0.8178 0.3988 0.0428
O: 0.8904 0.9989 0.3291

Calculated values
corrected total energy (MP2020 scheme): -7.856 eV/atom
symmetry: No. 1
formation energy from the elements: -2.4176 eV/atom